Record 1
VASP calculation (PBE) on an optimized crystal structure of Ba2ErInTe5.

Lattice parameters (Å, degrees): 10.4810 10.4810 14.3608 90.00 90.00 154.81
Closest atoms and distances in Å follow each position.
Sites, in units of the cell vectors:
Te: 0.4959 0.5041 0.2624  1 In 2.76
Te: 0.9492 0.0508 0.0514  2 In 2.84
Te: 0.0508 0.9492 0.5514  2 In 2.84
Te: 0.5041 0.4959 0.7624  1 In 2.76
Te: 0.6902 0.3098 0.3676  1 In 2.90, 2 Er 3.18
Te: 0.3549 0.6451 0.5012  1 Er 2.98
Te: 0.3098 0.6902 0.8676  1 In 2.90, 2 Er 3.18
Te: 0.6451 0.3549 0.0012  1 Er 2.98
Te: 0.2920 0.7080 0.1593  2 Er 3.05
Te: 0.7080 0.2920 0.6593  2 Er 3.05
Er: 0.7903 0.2097 0.0186  6 Te 2.98-3.28
Er: 0.2097 0.7903 0.5186  6 Te 2.98-3.28
In: 0.5564 0.4436 0.4341  4 Te 2.76-2.90
In: 0.4436 0.5564 0.9341  4 Te 2.76-2.90
Ba: 0.8691 0.1309 0.3153  7 Te 3.53-3.74
Ba: 0.8806 0.1194 0.6821  7 Te 3.50-3.80
Ba: 0.1309 0.8691 0.8153  7 Te 3.53-3.74
Ba: 0.1194 0.8806 0.1821  7 Te 3.50-3.80

Properties
Its total magnetic moment is 0.0 μB per formula unit. The value obtained for the electronic total energy is -4.268 eV/atom.

---

Record 2
VASP calculation (PBE) on an optimized crystal structure of Lu3C4.

Lattice parameters (Å, degrees): 7.8833 7.8833 15.6700 90.00 90.00 90.00
Closest atoms and distances in Å follow each position.
Sites, in units of the cell vectors:
Lu: 0.4043 0.2012 0.0000  7 C 2.42-2.68
Lu: 0.2124 0.3995 0.3547  4 C 2.28-2.53
Lu: 0.7876 0.6005 0.3547  4 C 2.28-2.53
Lu: 0.0957 0.7012 0.5000  7 C 2.42-2.68
Lu: 0.8995 0.7124 0.1453  4 C 2.28-2.53
Lu: 0.1005 0.2876 0.1453  4 C 2.28-2.53
Lu: 0.7124 0.1005 0.8547  4 C 2.28-2.53
Lu: 0.2124 0.3995 0.6453  4 C 2.28-2.53
Lu: 0.3995 0.7876 0.3547  4 C 2.28-2.53
Lu: 0.2876 0.8995 0.1453  4 C 2.28-2.53
Lu: 0.7988 0.4043 0.0000  7 C 2.42-2.68
Lu: 0.0000 0.0000 0.6876  2 C 2.28-2.44
Lu: 0.2012 0.5957 0.0000  7 C 2.42-2.68
Lu: 0.2988 0.0957 0.5000  7 C 2.42-2.68
Lu: 0.7012 0.9043 0.5000  7 C 2.42-2.68
Lu: 0.5000 0.5000 0.8124  2 C 2.28-2.44
Lu: 0.6005 0.2124 0.3547  4 C 2.28-2.53
Lu: 0.9043 0.2988 0.5000  7 C 2.42-2.68
Lu: 0.5000 0.5000 0.1876  2 C 2.28-2.44
Lu: 0.6005 0.2124 0.6453  4 C 2.28-2.53
Lu: 0.8995 0.7124 0.8547  4 C 2.28-2.53
Lu: 0.5957 0.7988 0.0000  7 C 2.42-2.68
Lu: 0.1005 0.2876 0.8547  4 C 2.28-2.53
Lu: 0.3995 0.7876 0.6453  4 C 2.28-2.53
Lu: 0.0000 0.0000 0.3124  2 C 2.28-2.44
Lu: 0.5000 0.5000 0.5000  6 C 2.46-2.54
Lu: 0.7876 0.6005 0.6453  4 C 2.28-2.53
Lu: 0.7124 0.1005 0.1453  4 C 2.28-2.53
Lu: 0.2876 0.8995 0.8547  4 C 2.28-2.53
Lu: 0.0000 0.0000 0.0000  6 C 2.46-2.54
C: 0.5000 0.5000 0.0418  1 C 1.31
C: 0.5000 0.5000 0.9582  1 C 1.31
C: 0.1923 0.5980 0.8292  1 C 1.35
C: 0.3077 0.0980 0.6708  1 C 1.35
C: 0.3037 0.8929 0.0000  5 Lu 2.28-2.54
C: 0.1923 0.5980 0.1708  1 C 1.35
C: 0.3506 0.1494 0.7500  2 C 1.35
C: 0.9020 0.3077 0.6708  1 C 1.35
C: 0.6071 0.1963 0.5000  5 Lu 2.28-2.54
C: 0.5980 0.8077 0.1708  1 C 1.35
C: 0.0000 0.0000 0.1567  6 Lu 2.41-2.46
C: 0.9020 0.3077 0.3292  1 C 1.35
C: 0.4020 0.1923 0.1708  1 C 1.35
C: 0.0000 0.0000 0.4582  1 C 1.31
C: 0.0000 0.0000 0.5418  1 C 1.31
C: 0.3506 0.1494 0.2500  2 C 1.35
C: 0.8929 0.6963 0.0000  5 Lu 2.28-2.54
C: 0.8506 0.3506 0.7500  2 C 1.35
C: 0.1494 0.6494 0.2500  2 C 1.35
C: 0.5000 0.5000 0.6567  6 Lu 2.41-2.46
C: 0.5980 0.8077 0.8292  1 C 1.35
C: 0.8077 0.4020 0.8292  1 C 1.35
C: 0.8077 0.4020 0.1708  1 C 1.35
C: 0.5000 0.5000 0.3433  6 Lu 2.41-2.46
C: 0.0980 0.6923 0.6708  1 C 1.35
C: 0.3929 0.8037 0.5000  5 Lu 2.28-2.54
C: 0.6923 0.9020 0.6708  1 C 1.35
C: 0.8037 0.6071 0.5000  5 Lu 2.28-2.54
C: 0.1071 0.3037 0.0000  5 Lu 2.28-2.54
C: 0.0980 0.6923 0.3292  1 C 1.35
C: 0.3077 0.0980 0.3292  1 C 1.35
C: 0.1963 0.3929 0.5000  5 Lu 2.28-2.54
C: 0.4020 0.1923 0.8292  1 C 1.35
C: 0.1494 0.6494 0.7500  2 C 1.35
C: 0.0000 0.0000 0.8433  6 Lu 2.41-2.46
C: 0.8506 0.3506 0.2500  2 C 1.35
C: 0.6494 0.8506 0.2500  2 C 1.35
C: 0.6923 0.9020 0.3292  1 C 1.35
C: 0.6494 0.8506 0.7500  2 C 1.35
C: 0.6963 0.1071 0.0000  5 Lu 2.28-2.54

Properties
Its total magnetic moment is 0.0 μB per formula unit. The value obtained for the electronic total energy is -7.591 eV/atom.

---

Record 3
VASP calculation (PBE) on an optimized crystal structure of UMo.

Lattice parameters (Å, degrees): 5.3152 2.8521 9.7157 90.00 88.75 90.00
Closest atoms and distances in Å follow each position.
Sites, in units of the cell vectors:
Mo: 0.5781 0.2543 0.8733  1 U 2.56, 2 Mo 2.85
Mo: 0.5781 0.2457 0.3733  1 U 2.56, 2 Mo 2.85
Mo: 0.4219 0.7543 0.6267  1 U 2.56, 2 Mo 2.85
Mo: 0.4219 0.7457 0.1267  1 U 2.56, 2 Mo 2.85
U: 0.8874 0.5287 0.6206  1 Mo 2.56, 3 U 2.61-2.85
U: 0.1126 0.0287 0.8794  1 Mo 2.56, 3 U 2.61-2.85
U: 0.1126 0.4713 0.3794  1 Mo 2.56, 3 U 2.61-2.85
U: 0.8874 0.9713 0.1206  1 Mo 2.56, 3 U 2.61-2.85

Properties
Its total magnetic moment is 0.0 μB per formula unit. The value obtained for the electronic total energy is -10.899 eV/atom. Its energy above the most stable polymorph in this dataset is 0 meV per atom.

---

Record 4
VASP calculation (PBE) on an optimized crystal structure of Lu7Sb3.

Lattice parameters (Å, degrees): 11.9756 11.9756 11.9756 97.88 97.88 136.54
Closest atoms and distances in Å follow each position.
Sites, in units of the cell vectors:
Lu: 0.6234 0.6166 0.2400  5 Sb 2.99-3.21
Lu: 0.9826 0.3358 0.3184  3 Sb 3.12-3.30, 5 Lu 3.27-3.42
Lu: 0.0293 0.8588 0.5000  2 Sb 2.98-3.09
Lu: 0.8358 0.4826 0.3184  3 Sb 3.12-3.30, 5 Lu 3.27-3.42
Lu: 0.8766 0.1166 0.9932  5 Sb 2.99-3.21
Lu: 0.3588 0.5293 0.5000  2 Sb 2.98-3.09
Lu: 0.1642 0.5174 0.6816  3 Sb 3.12-3.30, 5 Lu 3.27-3.42
Lu: 0.7500 0.2500 0.5000  12 Lu 3.42-3.70
Lu: 0.1166 0.1234 0.2400  5 Sb 2.99-3.21
Lu: 0.6412 0.4707 0.5000  2 Sb 2.98-3.09
Lu: 0.4707 0.9707 0.8295  2 Sb 2.98-3.09
Lu: 0.2500 0.2500 0.0000  4 Sb 3.10, 8 Lu 3.47
Lu: 0.6642 0.9826 0.6469  3 Sb 3.12-3.30, 5 Lu 3.27-3.42
Lu: 0.3834 0.6234 0.0068  5 Sb 2.99-3.21
Lu: 0.2500 0.7500 0.5000  12 Lu 3.42-3.70
Lu: 0.8588 0.3588 0.8295  2 Sb 2.98-3.09
Lu: 0.9707 0.1412 0.5000  2 Sb 2.98-3.09
Lu: 0.5293 0.0293 0.1705  2 Sb 2.98-3.09
Lu: 0.0174 0.6642 0.6816  3 Sb 3.12-3.30, 5 Lu 3.27-3.42
Lu: 0.4826 0.1642 0.6469  3 Sb 3.12-3.30, 5 Lu 3.27-3.42
Lu: 0.6166 0.3766 0.9932  5 Sb 2.99-3.21
Lu: 0.1412 0.6412 0.1705  2 Sb 2.98-3.09
Lu: 0.7500 0.7500 0.0000  4 Sb 3.10, 8 Lu 3.47
Lu: 0.5174 0.8358 0.3531  3 Sb 3.12-3.30, 5 Lu 3.27-3.42
Lu: 0.8834 0.8766 0.7600  5 Sb 2.99-3.21
Lu: 0.3766 0.3834 0.7600  5 Sb 2.99-3.21
Lu: 0.1234 0.8834 0.0068  5 Sb 2.99-3.21
Lu: 0.3358 0.0174 0.3531  3 Sb 3.12-3.30, 5 Lu 3.27-3.42
Sb: 0.2803 0.2197 0.5000  8 Lu 2.98-3.30
Sb: 0.0528 0.2500 0.8028  9 Lu 3.10-3.42
Sb: 0.9472 0.7500 0.1972  9 Lu 3.10-3.42
Sb: 0.7197 0.7803 0.5000  8 Lu 2.98-3.30
Sb: 0.7500 0.5528 0.8028  9 Lu 3.10-3.42
Sb: 0.4472 0.2500 0.1972  9 Lu 3.10-3.42
Sb: 0.2500 0.0528 0.8028  9 Lu 3.10-3.42
Sb: 0.2500 0.4472 0.1972  9 Lu 3.10-3.42
Sb: 0.7803 0.2803 0.0606  8 Lu 2.98-3.30
Sb: 0.2197 0.7197 0.9394  8 Lu 2.98-3.30
Sb: 0.5528 0.7500 0.8028  9 Lu 3.10-3.42
Sb: 0.7500 0.9472 0.1972  9 Lu 3.10-3.42

Properties
The value obtained for the electronic total energy is -5.052 eV/atom.

---

Record 5
VASP calculation (PBE) on an optimized crystal structure of Eu3Sn.

Lattice parameters (Å, degrees): 7.4565 7.4565 5.8993 90.00 90.00 120.00
Closest atoms and distances in Å follow each position.
Sites, in units of the cell vectors:
Sn: 0.3333 0.6667 0.7500  12 Eu 3.59-3.73
Sn: 0.6667 0.3333 0.2500  12 Eu 3.59-3.73
Eu: 0.1750 0.8250 0.2500  8 Eu 3.54-3.91, 4 Sn 3.59-3.73
Eu: 0.8250 0.1750 0.7500  8 Eu 3.54-3.91, 4 Sn 3.59-3.73
Eu: 0.1750 0.3499 0.2500  8 Eu 3.54-3.91, 4 Sn 3.59-3.73
Eu: 0.3499 0.1750 0.7500  8 Eu 3.54-3.91, 4 Sn 3.59-3.73
Eu: 0.6501 0.8250 0.2500  8 Eu 3.54-3.91, 4 Sn 3.59-3.73
Eu: 0.8250 0.6501 0.7500  8 Eu 3.54-3.91, 4 Sn 3.59-3.73

Properties
The value obtained for the electronic total energy is -9.150 eV/atom.

---

Record 6
VASP calculation (PBE) on an optimized crystal structure of KZrO3.

Lattice parameters (Å, degrees): 4.2383 4.2383 4.2383 90.00 90.00 90.00
Closest atoms and distances in Å follow each position.
Sites, in units of the cell vectors:
Zr: 0.5000 0.5000 0.5000  6 O 2.12
O: 0.5000 0.5000 0.0000  2 Zr 2.12
O: 0.5000 0.0000 0.5000  2 Zr 2.12
O: 0.0000 0.5000 0.5000  2 Zr 2.12
K: 0.0000 0.0000 0.0000  12 O 3.00

Properties
Its total magnetic moment is 1.0 μB per formula unit. The value obtained for the electronic total energy is -7.287 eV/atom.